# 1
Ti5B12O26 PBE optimized geometry; density = 3.7 g/cm3; electronic total energy = -1427.7 eV per cell; ΔH_f (0 K) = -126.52 eV/f.u.
1.0
-5.5146 -12.0872 -3.3131
-12.9172 -0.2979 4.5327
6.7080 9.2408 -7.5563
B O Ti
48 104 20
direct
0.7757 0.6357 0.3268
0.9640 0.9487 0.1603
0.0380 0.3581 0.8113
0.2757 0.9489 0.1400
0.1962 0.0360 0.9847
0.6989 0.0589 0.1732
0.7884 0.8038 0.8397
0.6081 0.7880 0.3113
0.8643 0.7243 0.6732
0.8857 0.5257 0.8268
0.5513 0.5360 0.8397
0.9767 0.2880 0.1799
0.3857 0.5589 0.3600
0.6987 0.0384 0.4847
0.5511 0.2243 0.8600
0.9743 0.6143 0.1732
0.2733 0.9532 0.8113
0.3643 0.6911 0.1400
0.6962 0.7116 0.1603
0.4743 0.3011 0.3600
0.9411 0.1143 0.6400
0.0468 0.8581 0.3201
0.2884 0.4487 0.9847
0.5468 0.2267 0.1887
0.5380 0.7267 0.6799
0.8089 0.1357 0.8600
0.4767 0.2968 0.6887
0.7860 0.3013 0.3397
0.7733 0.9620 0.3201
0.5538 0.2140 0.5153
0.0511 0.1911 0.3268
0.1989 0.0257 0.6400
0.0538 0.5384 0.3397
0.2120 0.5233 0.8201
0.4640 0.3038 0.0153
0.7032 0.3919 0.1799
0.4411 0.8011 0.8268
0.0513 0.2116 0.0153
0.1081 0.7968 0.8201
0.3089 0.4489 0.6732
0.1419 0.4620 0.1887
0.4616 0.8013 0.5153
0.1987 0.7140 0.6603
0.2860 0.9462 0.4847
0.7120 0.8919 0.6887
0.2032 0.0233 0.3113
0.6419 0.4532 0.6799
0.9616 0.4462 0.6603
0.1666 0.4611 0.9688
0.7361 0.9475 0.1814
0.7445 0.6083 0.1826
0.8442 0.8442 0.0000
0.4453 0.2639 0.2114
0.4257 0.5618 0.8174
0.1645 0.1437 0.3251
0.5942 0.0942 0.5000
0.3563 0.3355 0.6749
0.5855 0.1063 0.1749
0.3583 0.6757 0.3638
0.8118 0.1757 0.3174
0.9923 0.9611 0.2946
0.7529 0.9174 0.8367
0.3243 0.6882 0.6826
0.5389 0.5077 0.7054
0.2111 0.7423 0.7946
0.7111 0.9166 0.4688
0.1693 0.8326 0.3355
0.6662 0.0029 0.3355
0.0877 0.2303 0.4773
0.5894 0.4145 0.5208
0.6666 0.6978 0.7054
0.5055 0.1882 0.3638
0.6558 0.6558 0.0000
0.0834 0.5522 0.7946
0.9453 0.7339 0.1814
0.7661 0.5547 0.8186
0.0855 0.9106 0.4792
0.4058 0.9058 0.5000
0.9971 0.3326 0.6633
0.4478 0.2423 0.5312
0.9058 0.4058 0.5000
0.1606 0.8355 0.9792
0.1558 0.1558 0.0000
0.2445 0.0618 0.1362
0.7577 0.2889 0.2054
0.2661 0.4475 0.2114
0.3937 0.9145 0.8251
0.9969 0.6396 0.9773
0.9314 0.4106 0.8251
0.3442 0.3442 0.0000
0.4803 0.8377 0.9773
0.8563 0.1814 0.0208
0.4971 0.8338 0.6645
0.0389 0.3334 0.0312
0.7697 0.2469 0.8574
0.8243 0.1417 0.6362
0.6674 0.3307 0.6645
0.5807 0.4174 0.1645
0.1662 0.8307 0.6633
0.0139 0.3025 0.3186
0.4314 0.6063 0.5208
0.2697 0.4123 0.5227
0.3022 0.0077 0.9688
0.8917 0.7555 0.8174
0.8022 0.8334 0.2946
0.8604 0.5031 0.0227
0.3896 0.9123 0.1426
0.3118 0.9945 0.6362
0.0838 0.2471 0.1645
0.9839 0.6953 0.6814
0.4969 0.5197 0.3574
0.7531 0.6104 0.5227
0.1975 0.4861 0.6814
0.6623 0.0197 0.0227
0.2531 0.7303 0.1426
0.2577 0.0522 0.4688
0.3186 0.6437 0.9792
0.0055 0.6417 0.3174
0.2361 0.0547 0.7886
0.0894 0.5686 0.1749
0.0807 0.9162 0.1633
0.0826 0.9193 0.8355
0.3917 0.5743 0.1362
0.0525 0.2339 0.7886
0.8047 0.5161 0.3186
0.8583 0.4945 0.6826
0.1674 0.5029 0.3367
0.9478 0.4166 0.2054
0.5139 0.1953 0.7114
0.1623 0.1396 0.6426
0.6975 0.0161 0.7114
0.6645 0.3394 0.0208
0.9257 0.1083 0.8638
0.9382 0.0743 0.1826
0.5525 0.7639 0.8186
0.3047 0.9861 0.2886
0.3604 0.3377 0.3574
0.8896 0.7469 0.4773
0.5826 0.7471 0.1633
0.6693 0.3338 0.3367
0.5834 0.7889 0.5312
0.8186 0.8394 0.6749
0.4923 0.1978 0.0312
0.4839 0.8025 0.2886
0.6606 0.6814 0.3251
0.4382 0.2555 0.8638
0.2529 0.4162 0.8355
0.5877 0.1104 0.8574
0.5838 0.4193 0.8367
0.8937 0.0686 0.4792
0.9803 0.0031 0.6426
0.0942 0.5942 0.5000
0.3470 0.5090 0.5212
0.9910 0.1530 0.4788
0.7590 0.0970 0.0212
0.5758 0.5970 0.3380
0.8470 0.3258 0.8380
0.1742 0.6530 0.1620
0.2500 0.2500 0.0000
0.9030 0.9242 0.6620
0.5000 0.0000 0.5000
0.4878 0.0090 0.1620
0.4030 0.7410 0.9788
0.7500 0.7500 0.0000
0.7622 0.4242 0.0212
0.0758 0.7378 0.9788
0.4910 0.0122 0.8380
0.6742 0.5122 0.5212
0.2590 0.2378 0.6620
0.9878 0.8258 0.4788
0.2622 0.2410 0.3380
0.0000 0.5000 0.5000

=====

# 2
TiBO3 PBE optimized geometry; density = 3.7 g/cm3; electronic total energy = -84.7 eV per cell; ΔH_f (0 K) = -15.00 eV/f.u.
1.0
-3.7619 -4.1362 -1.0378
0.0553 -4.2459 -3.7825
0.3430 -5.6327 0.7020
O Ti B
6 2 2
direct
0.5453 0.2500 0.9547
0.9547 0.5453 0.2500
0.2500 0.9547 0.5453
0.0453 0.4547 0.7500
0.4547 0.7500 0.0453
0.7500 0.0453 0.4547
0.5000 0.5000 0.5000
0.0000 0.0000 0.0000
0.7500 0.7500 0.7500
0.2500 0.2500 0.2500

=====

# 3
TlB5O12 PBE optimized geometry; density = 2.9 g/cm3; electronic total energy = -482.5 eV per cell; ΔH_f (0 K) = -27.42 eV/f.u.
1.0
-3.3396 3.6978 -5.4534
-3.4392 -8.5052 -3.6611
-11.9417 0.3370 7.5416
O B Tl
48 20 4
direct
0.0840 0.0420 0.6728
0.8794 0.1608 0.2297
0.3843 0.1751 0.1647
0.3794 0.8392 0.2703
0.9160 0.9580 0.3272
0.7131 0.1527 0.5635
0.1972 0.4985 0.0587
0.9179 0.3047 0.9297
0.0821 0.6953 0.0703
0.8843 0.8249 0.3353
0.5840 0.9580 0.8272
0.7055 0.3433 0.1486
0.3861 0.4218 0.8815
0.1157 0.1751 0.6647
0.1139 0.4218 0.3815
0.0762 0.4798 0.8517
0.5821 0.3047 0.4297
0.1206 0.8392 0.7703
0.6139 0.5782 0.1185
0.1751 0.0537 0.8367
0.3249 0.0537 0.3367
0.8861 0.5782 0.6185
0.4160 0.0420 0.1728
0.0243 0.3030 0.1050
0.2676 0.0623 0.5022
0.5762 0.5202 0.6483
0.7945 0.3433 0.6486
0.9757 0.6970 0.8950
0.7869 0.1527 0.0635
0.4238 0.4798 0.3517
0.6972 0.5015 0.4413
0.6206 0.1608 0.7297
0.7676 0.9377 0.9978
0.4179 0.6953 0.5703
0.8028 0.5015 0.9413
0.4757 0.3030 0.6050
0.6157 0.8249 0.8353
0.3028 0.4985 0.5587
0.6751 0.9463 0.6633
0.2945 0.6567 0.8514
0.2324 0.0623 0.0022
0.2055 0.6567 0.3514
0.7324 0.9377 0.4978
0.9238 0.5202 0.1483
0.2131 0.8473 0.9365
0.2869 0.8473 0.4365
0.5243 0.6970 0.3950
0.8249 0.9463 0.1633
0.3443 0.7592 0.3628
0.2595 0.5225 0.8612
0.6557 0.2408 0.6372
0.2926 0.9842 0.4269
0.1557 0.7592 0.8628
0.6301 0.0258 0.7348
0.9468 0.5588 0.8944
0.2074 0.9842 0.9269
0.8443 0.2408 0.1372
0.7926 0.0158 0.0731
0.0532 0.4412 0.1056
0.2405 0.5225 0.3612
0.1301 0.9742 0.7652
0.5532 0.5588 0.3944
0.7405 0.4775 0.1388
0.3699 0.9742 0.2652
0.7074 0.0158 0.5731
0.8699 0.0258 0.2348
0.7595 0.4775 0.6388
0.4468 0.4412 0.6056
0.7540 0.7353 0.5436
0.2460 0.2647 0.4564
0.2540 0.2647 0.9564
0.7460 0.7353 0.0436